[1]
# NaMgTaSiS2O12, relaxed, DFT PBE
# Electronic total energy   -6.945 eV per atom
# Total energy after the MP2020 corrections   -7.403 eV/atom
# DFT formation energy   -2522.3 meV per atom
data_NaMgTaSiS2O12
_cell_length_a 15.153
_cell_length_b 8.791
_cell_length_c 22.793
_cell_angle_alpha 90.00
_cell_angle_beta 90.22
_cell_angle_gamma 90.00
_space_group_name_H-M_alt 'C 1 c 1'
_space_group_IT_number 9
loop_
_space_group_symop_operation_xyz
'x,y,z'
'x,-y,z+1/2'
'x+1/2,y+1/2,z'
'x+1/2,-y+1/2,z+1/2'
loop_
_atom_site_label
_atom_site_type_symbol
_atom_site_fract_x
_atom_site_fract_y
_atom_site_fract_z
_atom_site_occupancy
Na1 Na 0.000 0.002 0.000 1
Na2 Na 0.165 0.489 0.834 1
Na3 Na 0.318 0.013 0.666 1
Mg1 Mg 0.161 0.489 0.693 1
Mg2 Mg 0.315 0.004 0.526 1
Mg3 Mg 0.489 0.497 0.360 1
Ta1 Ta 0.156 0.495 0.486 1
Ta2 Ta 0.319 0.016 0.819 1
Ta3 Ta 0.490 0.499 0.653 1
Si1 Si 0.161 0.206 0.593 1
Si2 Si 0.172 0.143 0.927 1
Si3 Si 0.343 0.367 0.760 1
S1 S 0.013 0.359 0.091 1
S2 S 0.134 0.148 0.257 1
S3 S 0.301 0.353 0.091 1
S4 S 0.325 0.287 0.425 1
S5 S 0.466 0.145 0.925 1
S6 S 0.490 0.210 0.258 1
O1 O 0.005 0.185 0.096 1
O2 O 0.005 0.197 0.809 1
O3 O 0.054 0.416 0.144 1
O4 O 0.056 0.434 0.429 1
O5 O 0.062 0.396 0.749 1
O6 O 0.067 0.101 0.599 1
O7 O 0.070 0.380 0.037 1
O8 O 0.077 0.075 0.915 1
O9 O 0.083 0.116 0.310 1
O10 O 0.095 0.070 0.203 1
O11 O 0.142 0.319 0.532 1
O12 O 0.143 0.310 0.247 1
O13 O 0.165 0.315 0.647 1
O14 O 0.168 0.335 0.932 1
O15 O 0.224 0.077 0.980 1
O16 O 0.226 0.077 0.263 1
O17 O 0.239 0.114 0.866 1
O18 O 0.241 0.385 0.430 1
O19 O 0.244 0.097 0.586 1
O20 O 0.246 0.430 0.753 1
O21 O 0.247 0.378 0.143 1
O22 O 0.259 0.426 0.037 1
O23 O 0.308 0.193 0.371 1
O24 O 0.319 0.193 0.082 1
O25 O 0.337 0.196 0.477 1
O26 O 0.339 0.169 0.765 1
O27 O 0.390 0.435 0.096 1
O28 O 0.394 0.422 0.816 1
O29 O 0.398 0.392 0.417 1
O30 O 0.405 0.121 0.263 1
O31 O 0.407 0.390 0.700 1
O32 O 0.416 0.110 0.977 1
O33 O 0.426 0.070 0.871 1
O34 O 0.426 0.076 0.581 1
O35 O 0.476 0.311 0.203 1
O36 O 0.479 0.306 0.917 1



[2]
# Cr3Rh3S8, relaxed, DFT PBE
# Electronic total energy   -6.543 eV per atom
# Total energy after the MP2020 corrections   -6.830 eV/atom
# DFT formation energy   -820.1 meV per atom
data_Cr3Rh3S8
_cell_length_a 6.082
_cell_length_b 6.402
_cell_length_c 6.897
_cell_angle_alpha 105.02
_cell_angle_beta 90.31
_cell_angle_gamma 116.13
_space_group_name_H-M_alt 'P -1'
_space_group_IT_number 2
loop_
_space_group_symop_operation_xyz
'x,y,z'
'-x,-y,-z'
loop_
_atom_site_label
_atom_site_type_symbol
_atom_site_fract_x
_atom_site_fract_y
_atom_site_fract_z
_atom_site_occupancy
Cr1 Cr 0.000 0.000 0.000 1
Cr2 Cr 0.285 0.525 0.633 1
Rh1 Rh 0.000 0.000 0.500 1
Rh2 Rh 0.284 0.530 0.138 1
S1 S 0.023 0.732 0.181 1
S2 S 0.024 0.732 0.686 1
S3 S 0.447 0.243 0.556 1
S4 S 0.451 0.244 0.062 1



[3]
# KAsO3, relaxed, DFT PBE
# Electronic total energy   -5.653 eV per atom
# Total energy after the MP2020 corrections   -6.065 eV/atom
# DFT formation energy   -1942.4 meV per atom
data_KAsO3
_cell_length_a 9.224
_cell_length_b 19.670
_cell_length_c 12.397
_cell_angle_alpha 90.00
_cell_angle_beta 90.36
_cell_angle_gamma 90.00
_space_group_name_H-M_alt 'P 1 21/c 1'
_space_group_IT_number 14
loop_
_space_group_symop_operation_xyz
'x,y,z'
'-x,-y,-z'
'-x,y+1/2,-z+1/2'
'x,-y+1/2,z+1/2'
loop_
_atom_site_label
_atom_site_type_symbol
_atom_site_fract_x
_atom_site_fract_y
_atom_site_fract_z
_atom_site_occupancy
K1 K 0.108 0.078 0.202 1
K2 K 0.127 0.747 0.882 1
K3 K 0.136 0.075 0.545 1
K4 K 0.371 0.249 0.631 1
K5 K 0.379 0.579 0.452 1
K6 K 0.384 0.575 0.790 1
As1 As 0.043 0.606 0.664 1
As2 As 0.123 0.245 0.874 1
As3 As 0.211 0.606 0.162 1
As4 As 0.285 0.105 0.918 1
As5 As 0.378 0.745 0.125 1
As6 As 0.457 0.104 0.410 1
O1 O 0.025 0.686 0.594 1
O2 O 0.042 0.618 0.798 1
O3 O 0.077 0.562 0.104 1
O4 O 0.099 0.215 0.256 1
O5 O 0.120 0.062 0.878 1
O6 O 0.149 0.214 0.490 1
O7 O 0.180 0.562 0.612 1
O8 O 0.204 0.620 0.295 1
O9 O 0.233 0.685 0.091 1
O10 O 0.268 0.184 0.844 1
O11 O 0.287 0.121 0.051 1
O12 O 0.323 0.061 0.350 1
O13 O 0.353 0.714 0.741 1
O14 O 0.377 0.562 0.128 1
O15 O 0.405 0.715 0.508 1
O16 O 0.421 0.060 0.869 1
O17 O 0.452 0.117 0.544 1
O18 O 0.477 0.185 0.341 1